(1)
Compound: CaAgF5
Source: Materials Project
Functional: PBE
Structure: optimized geometry

Unit cell a=10.446 b=5.711 c=8.219 alpha=69.37 beta=90.00 gamma=90.00
Fractional positions:
Ca1 0.020 0.531 0.744
Ca2 0.520 0.469 0.756
Ca3 0.980 0.469 0.256
Ca4 0.480 0.531 0.244
Ag1 0.753 0.114 0.598
Ag2 0.253 0.886 0.902
Ag3 0.247 0.886 0.402
Ag4 0.747 0.114 0.098
F1 0.891 0.403 0.549
F2 0.391 0.597 0.951
F3 0.109 0.597 0.451
F4 0.609 0.403 0.049
F5 0.604 0.370 0.506
F6 0.104 0.630 0.994
F7 0.396 0.630 0.494
F8 0.896 0.370 0.006
F9 0.402 0.128 0.807
F10 0.902 0.872 0.693
F11 0.598 0.872 0.193
F12 0.098 0.128 0.307
F13 0.131 0.183 0.858
F14 0.631 0.817 0.642
F15 0.869 0.817 0.142
F16 0.369 0.183 0.358
F17 0.696 0.152 0.837
F18 0.196 0.848 0.663
F19 0.304 0.848 0.163
F20 0.804 0.152 0.337

Results
Polymorph energy (0 for the lowest one) (eV/atom): 0.010
VASP energy (eV per formula unit): -29.733
Size of the total moment (μB per cell): 4.00
E (MP2020) (eV/atom): -4.58
Space-group type: P2_1/c, No. 14
ρ (g cm⁻³): 3.52
Formation energy (eV/atom): -2.5189



(2)
Compound: CaAgF5
Source: Materials Project
Functional: PBE
Structure: optimized geometry

Unit cell a=5.751 b=5.817 c=8.121 alpha=110.45 beta=96.32 gamma=108.87
Fractional positions:
Ca1 0.459 0.458 0.254
Ca2 0.541 0.542 0.746
Ag1 0.000 0.000 0.000
Ag2 0.000 0.000 0.500
F1 0.900 0.898 0.744
F2 0.100 0.102 0.256
F3 0.261 0.779 0.628
F4 0.789 0.258 0.880
F5 0.326 0.303 0.979
F6 0.305 0.323 0.531
F7 0.674 0.697 0.021
F8 0.695 0.677 0.469
F9 0.211 0.742 0.120
F10 0.739 0.221 0.372

Results
Polymorph energy (0 for the lowest one) (eV/atom): 0.672
VASP energy (eV per formula unit): -25.099
Size of the total moment (μB per cell): 0.02
E (MP2020) (eV/atom): -3.92
Space-group type: P-1, No. 2
ρ (g cm⁻³): 3.46
Formation energy (eV/atom): -1.8568



(3)
Compound: Ca2Ga7Ag
Source: Materials Project
Functional: PBE
Structure: optimized geometry

Unit cell a=4.315 b=4.315 c=11.071 alpha=90.00 beta=90.00 gamma=90.00
Fractional positions:
Ca1 0.500 0.000 0.750
Ca2 0.000 0.500 0.250
Ga1 0.000 0.500 0.861
Ga2 0.500 0.000 0.362
Ga3 0.500 0.000 0.139
Ga4 0.000 0.500 0.638
Ga5 0.000 0.000 0.500
Ga6 0.000 0.000 0.000
Ga7 0.500 0.500 0.500
Ag1 0.500 0.500 0.000

Results
VASP energy (eV per formula unit): -31.710
Space-group type: P-4m2, No. 115
ρ (g cm⁻³): 5.45
Formation energy (eV/atom): -0.3670



(4)
Compound: CaAgGe
Source: Materials Project
Functional: PBE
Structure: optimized geometry

Unit cell a=5.839 b=5.839 c=7.360 alpha=51.70 beta=51.70 gamma=46.13
Fractional positions:
Ca1 0.543 0.543 0.212
Ca2 0.457 0.457 0.788
Ag1 0.175 0.175 0.382
Ag2 0.825 0.825 0.618
Ge1 0.846 0.846 0.202
Ge2 0.154 0.154 0.798

Results
VASP energy (eV per formula unit): -10.786
Size of the total moment (μB per cell): 0.00
Space-group type: C2/m, No. 12
ρ (g cm⁻³): 5.48
Formation energy (eV/atom): -0.4416